[1]
# MgFeSiO4

An optimized crystal structure of MgFeSiO4 (GGA+U, the Materials Project).

Calculated values
Calculated formation energy, eV per atom: -2.759
Space-group type: Pnma, No. 62
Polymorph energy (0 for the lowest one), meV/atom: 3.1

Cell lengths 4.8760, 6.0741, 10.4349 Å; angles 90.00, 90.00, 90.00 degrees
Last column: nearest neighbours and their distance in Å.
Atoms (fractional coordinates):
Fe 0.0000 0.5000 0.0000  6 O 2.15-2.22
Fe 0.5000 0.5000 0.5000  6 O 2.15-2.22
Fe 0.5000 0.0000 0.5000  6 O 2.15-2.22
Fe 0.0000 0.0000 0.0000  6 O 2.15-2.22
Si 0.5741 0.7500 0.9039  4 O 1.65-1.67
Si 0.4259 0.2500 0.0961  4 O 1.65-1.67
Si 0.0741 0.2500 0.5961  4 O 1.65-1.67
Si 0.9259 0.7500 0.4039  4 O 1.65-1.67
O 0.2173 0.4655 0.6658  1 Si 1.65
O 0.7928 0.7500 0.5517  1 Si 1.67
O 0.7827 0.9655 0.3342  1 Si 1.65
O 0.7173 0.5345 0.8342  1 Si 1.65
O 0.2827 0.4655 0.1658  1 Si 1.65
O 0.7827 0.5345 0.3342  1 Si 1.65
O 0.2827 0.0345 0.1658  1 Si 1.65
O 0.2362 0.7500 0.9042  1 Si 1.65
O 0.7173 0.9655 0.8342  1 Si 1.65
O 0.2173 0.0345 0.6658  1 Si 1.65
O 0.7072 0.7500 0.0517  1 Si 1.67
O 0.7362 0.2500 0.5958  1 Si 1.65
O 0.2638 0.7500 0.4042  1 Si 1.65
O 0.2928 0.2500 0.9483  1 Si 1.67
O 0.7638 0.2500 0.0958  1 Si 1.65
O 0.2072 0.2500 0.4483  1 Si 1.67
Mg 0.9909 0.2500 0.2780  6 O 2.07-2.26
Mg 0.5091 0.2500 0.7780  6 O 2.07-2.26
Mg 0.4909 0.7500 0.2220  6 O 2.07-2.26
Mg 0.0091 0.7500 0.7220  6 O 2.07-2.26

[2]
# MgMn6O8F4

An optimized crystal structure of MgMn6O8F4 (GGA+U, the Materials Project).

Calculated values
Calculated formation energy, eV per atom: -2.253
Space-group type: P-1, No. 2
Polymorph energy (0 for the lowest one), meV/atom: 60.1

Cell lengths 7.6582, 5.6721, 5.9388 Å; angles 72.63, 66.16, 70.79 degrees
Last column: nearest neighbours and their distance in Å.
Atoms (fractional coordinates):
F 0.6734 0.0646 0.6495  3 Mn 1.97-2.20
F 0.3869 0.4003 0.4455  1 Mg 1.96, 2 Mn 2.11
F 0.9990 0.2642 0.6780  3 Mn 1.97-2.19
F 0.2856 0.9280 0.8813  1 Mg 1.96, 2 Mn 2.11
Mn 0.5294 0.0434 0.0121  4 O 1.95-1.99, 1 F 1.97
Mn 0.1431 0.2849 0.3151  4 O 1.95-1.99, 1 F 1.97
Mn 0.8363 0.6641 0.6634  4 O 2.03-2.15, 2 F 2.19-2.20
Mn 0.9794 0.9655 0.0152  3 O 1.91-1.97, 1 F 2.11
Mn 0.6930 0.3629 0.3119  3 O 1.91-1.97, 1 F 2.11
Mn 0.3364 0.6640 0.6634  4 O 2.02-2.15, 2 F 2.11
O 0.0394 0.7413 0.7831  3 Mn 1.97-2.15
O 0.3226 0.9428 0.3307  3 Mn 1.98-2.15, 1 Mg 2.06
O 0.7046 0.1245 0.1253  3 Mn 1.91-1.95
O 0.6332 0.5872 0.5439  3 Mn 1.97-2.15
O 0.6355 0.6792 0.0133  3 Mn 1.95-2.18, 1 Mg 2.12
O 0.9678 0.2036 0.2020  3 Mn 1.91-1.95
O 0.0370 0.6490 0.3137  3 Mn 1.95-2.18, 1 Mg 2.12
O 0.3499 0.3855 0.9962  3 Mn 1.98-2.15, 1 Mg 2.06
Mg 0.3363 0.6641 0.1634  2 F 1.96, 4 O 2.06-2.12

[3]
# LiV2P3O12

An optimized crystal structure of LiV2P3O12 (GGA+U, the Materials Project).

Calculated values
Calculated formation energy, eV per atom: -2.585
Space-group type: C2/c, No. 15
Polymorph energy (0 for the lowest one), meV/atom: 70.7

Cell lengths 9.6023, 9.6023, 8.0536 Å; angles 74.62, 74.62, 36.54 degrees
Last column: nearest neighbours and their distance in Å.
Atoms (fractional coordinates):
P 0.1463 0.4961 0.2312  4 O 1.52-1.57
P 0.8537 0.5039 0.7688  4 O 1.52-1.57
P 0.0619 0.9381 0.2500  4 O 1.55-1.56
P 0.9381 0.0619 0.7500  4 O 1.55-1.56
P 0.5039 0.8537 0.2688  4 O 1.52-1.57
P 0.4961 0.1463 0.7312  4 O 1.52-1.57
O 0.0169 0.7022 0.0880  1 P 1.55
O 0.0988 0.3758 0.2425  1 P 1.52
O 0.7483 0.1847 0.9050  1 P 1.55
O 0.3349 0.4079 0.6867  1 P 1.55
O 0.5921 0.6651 0.8133  1 P 1.55
O 0.8153 0.2517 0.5950  1 P 1.55
O 0.9831 0.2978 0.9120  1 P 1.55
O 0.6242 0.9012 0.2575  1 P 1.52
O 0.4161 0.9340 0.0864  1 P 1.57
O 0.8327 0.0427 0.2287  1 P 1.56
O 0.9340 0.4161 0.5864  1 P 1.57
O 0.1673 0.9573 0.7713  1 P 1.56
O 0.2517 0.8153 0.0950  1 P 1.55
O 0.4079 0.3349 0.1867  1 P 1.55
O 0.9012 0.6242 0.7575  1 P 1.52
O 0.0660 0.5839 0.4136  1 P 1.57
O 0.7022 0.0169 0.5880  1 P 1.55
O 0.5839 0.0660 0.9136  1 P 1.57
O 0.2978 0.9831 0.4120  1 P 1.55
O 0.0427 0.8327 0.7287  1 P 1.56
O 0.6651 0.5921 0.3133  1 P 1.55
O 0.1847 0.7483 0.4050  1 P 1.55
O 0.3758 0.0988 0.7425  1 P 1.52
O 0.9573 0.1673 0.2713  1 P 1.56
Li 0.4108 0.5892 0.7500  2 O 2.19
Li 0.5892 0.4108 0.2500  2 O 2.19
V 0.9694 0.2997 0.4076  6 O 1.85-2.06
V 0.7003 0.0306 0.0924  6 O 1.85-2.06
V 0.2997 0.9694 0.9076  6 O 1.85-2.06
V 0.0306 0.7003 0.5924  6 O 1.85-2.06

[4]
# Ba2LaCrO6

An optimized crystal structure of Ba2LaCrO6 (GGA+U, the Materials Project).

Calculated values
Calculated formation energy, eV per atom: -2.804
Space-group type: Fm-3m, No. 225

Cell lengths 6.0338, 6.0338, 6.0338 Å; angles 60.00, 60.00, 60.00 degrees
Last column: nearest neighbours and their distance in Å.
Atoms (fractional coordinates):
Ba 0.7500 0.7500 0.7500  12 O 3.03
Ba 0.2500 0.2500 0.2500  12 O 3.03
O 0.7760 0.7760 0.2240  1 Cr 1.91
O 0.2240 0.7760 0.2240  1 Cr 1.91
O 0.7760 0.2240 0.2240  1 Cr 1.91
O 0.7760 0.2240 0.7760  1 Cr 1.91
O 0.2240 0.2240 0.7760  1 Cr 1.91
O 0.2240 0.7760 0.7760  1 Cr 1.91
Cr 0.0000 0.0000 0.0000  6 O 1.91
La 0.5000 0.5000 0.5000  6 O 2.36

[5]
# MgFe6O6F6

An optimized crystal structure of MgFe6O6F6 (GGA+U, the Materials Project).

Calculated values
Calculated formation energy, eV per atom: -2.007
Space-group type: P-1, No. 2
Polymorph energy (0 for the lowest one), meV/atom: 136.8

Cell lengths 4.9358, 7.8501, 5.7907 Å; angles 97.34, 93.60, 88.97 degrees
Last column: nearest neighbours and their distance in Å.
Atoms (fractional coordinates):
O 0.2906 0.5770 0.8891  3 Fe 1.88-2.07
O 0.7094 0.4230 0.1109  3 Fe 1.88-2.07
O 0.3008 0.2296 0.5381  3 Fe 1.95-2.06
O 0.2387 0.9114 0.7320  1 Mg 2.02, 3 Fe 2.04-2.11
O 0.7613 0.0886 0.2680  1 Mg 2.02, 3 Fe 2.04-2.11
O 0.6992 0.7704 0.4619  3 Fe 1.95-2.06
F 0.7951 0.4429 0.6252  3 Fe 2.05-2.24
F 0.2487 0.2162 0.0445  1 Mg 2.08, 3 Fe 2.09-2.32
F 0.7130 0.1181 0.7851  1 Mg 2.00, 2 Fe 2.03-2.11
F 0.2049 0.5571 0.3748  3 Fe 2.05-2.24
F 0.7513 0.7838 0.9555  1 Mg 2.08, 3 Fe 2.09-2.32
F 0.2870 0.8819 0.2149  1 Mg 2.00, 2 Fe 2.03-2.11
Fe 0.5000 0.0000 0.5000  2 F 2.03, 4 O 2.03-2.11
Fe 0.0242 0.6891 0.6613  3 O 2.04-2.07, 3 F 2.08-2.28
Fe 0.5205 0.6289 0.1959  3 O 1.88-2.05, 1 F 2.05
Fe 0.9758 0.3109 0.3387  3 O 2.04-2.07, 3 F 2.08-2.28
Fe 0.0000 0.0000 0.0000  2 O 2.05, 4 F 2.09-2.11
Fe 0.4795 0.3711 0.8041  3 O 1.88-2.05, 1 F 2.05
Mg 0.5000 0.0000 0.0000  4 F 2.00-2.08, 2 O 2.02

[6]
# TlBiW2O8

An optimized crystal structure of TlBiW2O8 (GGA+U, the Materials Project).

Calculated values
Calculated formation energy, eV per atom: -1.980
Space-group type: C2/c, No. 15

Cell lengths 7.7598, 7.7598, 7.5514 Å; angles 62.82, 62.82, 89.61 degrees
Last column: nearest neighbours and their distance in Å.
Atoms (fractional coordinates):
O 0.3787 0.0679 0.8684  1 W 1.87
O 0.6233 0.7516 0.5579  1 W 1.87
O 0.0501 0.2127 0.8129  1 W 1.84
O 0.0679 0.3787 0.3684  1 W 1.87
O 0.5864 0.3737 0.9709  2 W 2.01-2.11
O 0.7873 0.9499 0.6871  1 W 1.84
O 0.9321 0.6213 0.6316  1 W 1.87
O 0.6263 0.4136 0.5291  2 W 2.01-2.11
O 0.6213 0.9321 0.1316  1 W 1.87
O 0.4136 0.6263 0.0291  2 W 2.01-2.11
O 0.7516 0.6233 0.0579  1 W 1.87
O 0.3767 0.2484 0.4421  1 W 1.87
O 0.2484 0.3767 0.9421  1 W 1.87
O 0.9499 0.7873 0.1871  1 W 1.84
O 0.3737 0.5864 0.4709  2 W 2.01-2.11
O 0.2127 0.0501 0.3129  1 W 1.84
W 0.6973 0.6874 0.7803  4 O 1.84-2.01
W 0.3027 0.3126 0.2197  4 O 1.84-2.01
W 0.3126 0.3027 0.7197  4 O 1.84-2.01
W 0.6874 0.6973 0.2803  4 O 1.84-2.01
Tl 0.2045 0.7955 0.7500  10 O 2.94-3.16
Tl 0.7955 0.2045 0.2500  10 O 2.94-3.16
Bi 0.2182 0.7818 0.2500  6 O 2.33-2.46
Bi 0.7818 0.2182 0.7500  6 O 2.33-2.46

[7]
# MgTi2Ni2O6

An optimized crystal structure of MgTi2Ni2O6 (GGA+U, the Materials Project).

Calculated values
Calculated formation energy, eV per atom: -2.271
Space-group type: P1, No. 1
Polymorph energy (0 for the lowest one), meV/atom: 107.3

Cell lengths 5.3955, 5.7886, 5.3489 Å; angles 123.53, 62.97, 116.38 degrees
Last column: nearest neighbours and their distance in Å.
Atoms (fractional coordinates):
Ni 0.8853 0.5553 0.8554  6 O 2.07-2.21
Ni 0.1242 0.0307 0.4589  4 O 1.96-2.17
O 0.6090 0.7787 0.2619  2 Ti 1.97-2.04, 1 Ni 2.07, 1 Mg 2.10
O 0.8749 0.2321 0.9376  1 Mg 1.99, 2 Ti 2.03-2.19, 2 Ni 2.12-2.17
O 0.4839 0.2439 0.7707  2 Ti 1.95-2.08, 1 Mg 1.99, 1 Ni 2.16
O 0.1140 0.3271 0.3928  1 Ti 1.86, 1 Ni 1.96
O 0.2735 0.7728 0.9806  2 Ti 1.90-2.07, 2 Ni 2.10
O 0.8478 0.6746 0.5481  1 Ti 1.93, 1 Ni 2.10
Ti 0.2456 0.4969 0.1288  4 O 1.86-2.07
Ti 0.5941 0.9025 0.6931  5 O 1.90-2.08
Mg 0.7014 0.2021 0.3382  5 O 1.99-2.20

[8]
# MoH4O5

An optimized crystal structure of MoH4O5 (GGA+U, the Materials Project).

Calculated values
Calculated formation energy, eV per atom: -1.469
Space-group type: P1, No. 1
Polymorph energy (0 for the lowest one), meV/atom: 51.7

Cell lengths 4.0517, 6.3934, 7.7292 Å; angles 97.54, 90.13, 90.01 degrees
Last column: nearest neighbours and their distance in Å.
Atoms (fractional coordinates):
O 0.5218 0.9774 0.2433  1 Mo 1.78
O 0.5079 0.5485 0.4775  2 H 0.97-1.00
O 0.5223 0.9574 0.7440  1 Mo 1.76
O 0.0267 0.9703 0.9893  1 Mo 1.80
O 0.0172 0.2747 0.2947  1 Mo 1.75, 1 H 1.82
O 0.0386 0.6520 0.7003  1 H 1.02
O 0.0285 0.2607 0.7526  1 H 1.02
O 0.0147 0.9420 0.4877  1 Mo 1.82
O 0.0246 0.6557 0.1775  2 H 0.99-1.06
O 0.5002 0.5157 0.9967  2 H 0.97-1.00
H 0.2303 0.6051 0.0979  1 O 1.06
H 0.7079 0.5772 0.0528  1 O 1.00
H 0.5084 0.4004 0.4279  1 O 0.97
H 0.0085 0.5512 0.2608  1 O 0.99
H 0.2114 0.6119 0.6051  1 O 1.02
H 0.0199 0.4182 0.7406  1 O 1.02
H 0.7096 0.5764 0.5508  1 O 1.00
H 0.4949 0.5477 0.8769  1 O 0.97
Mo 0.9584 0.0014 0.2662  3 O 1.75-1.82
Mo 0.0895 0.9757 0.7592  3 O 1.76-1.85